EuAl | GGA-PBE | relaxed

Cell: 6.6449 6.6449 4.6705 Å, 90.00 90.00 143.48°
Atoms (fractional coordinates):
1 Eu 0.1515 0.8485 0.7500
2 Eu 0.8485 0.1515 0.2500
3 Al 0.4396 0.5604 0.7500
4 Al 0.5604 0.4396 0.2500

## Properties
The calculation puts the total DFT energy (no corrections) at -0.26576 Ha/atom. Its density is 4.843 g/cm3. For the energy of formation from the pure elements, the calculation gives -0.23 eV/atom.


Mg14ZrV | GGA-PBE | relaxed

Cell: 6.3744 6.3744 10.1505 Å, 90.00 90.00 120.00°
Atoms (fractional coordinates):
1 Mg 0.0000 0.0000 0.2473
2 Mg 0.0000 0.0000 0.7527
3 Mg 0.0075 0.5038 0.2524
4 Mg 0.0075 0.5038 0.7476
5 Mg 0.3346 0.1673 0.5000
6 Mg 0.3392 0.1696 0.0000
7 Mg 0.4962 0.5038 0.2524
8 Mg 0.4962 0.5038 0.7476
9 Mg 0.4962 0.9925 0.2524
10 Mg 0.4962 0.9925 0.7476
11 Mg 0.8304 0.1696 0.0000
12 Mg 0.8304 0.6608 0.0000
13 Mg 0.8327 0.1673 0.5000
14 Mg 0.8327 0.6654 0.5000
15 Zr 0.3333 0.6667 0.0000
16 V 0.3333 0.6667 0.5000

## Properties
The calculation puts the total DFT energy (no corrections) at -0.08785 Ha/atom. The excess energy over the best structure of this formula in the dataset is 25 meV/atom. Its density is 2.243 g/cm3. For the energy of formation from the pure elements, the calculation gives 0.11 eV/atom. The calculation puts the total magnetization at 4.09 μB per cell.


> Which value of total DFT energy (no corrections) does entry 1 give?

-0.26576 Ha/atom


> Among the records above, which one has the highest energy of formation from the pure elements?

Mg14ZrV


> Which value of energy of formation from the pure elements does entry 2 give?

0.11 eV/atom


> The highest total DFT energy (no corrections) belongs to which entry?

Mg14ZrV